Entry from the Materials Project: PrNi2 after structural relaxation (PBE-GGA).

VASP energy	-5.724	eV per atom
symmetry	No. 227
V	99.0	Å³ per cell

Cell lengths 5.192, 5.192, 5.192 Å; angles 60.00, 60.00, 60.00 degrees
Fractional coordinates of all 6 atoms:
Pr 0.500 0.500 0.500
Pr 0.750 0.750 0.750
Ni 0.125 0.125 0.125
Ni 0.625 0.125 0.125
Ni 0.125 0.625 0.125
Ni 0.125 0.125 0.625

Entry from the Materials Project: Pr3Ni after structural relaxation (PBE-GGA).

VASP energy	-5.186	eV per atom
symmetry	No. 62
V	469.1	Å³ per cell

Cell lengths 6.564, 7.084, 10.089 Å; angles 90.00, 90.00, 90.00 degrees
Fractional coordinates of all 16 atoms:
Pr 0.326 0.675 0.066
Pr 0.174 0.175 0.434
Pr 0.674 0.325 0.566
Pr 0.826 0.825 0.934
Pr 0.674 0.325 0.934
Pr 0.826 0.825 0.566
Pr 0.326 0.675 0.434
Pr 0.174 0.175 0.066
Pr 0.856 0.539 0.250
Pr 0.644 0.039 0.250
Pr 0.144 0.461 0.750
Pr 0.356 0.961 0.750
Ni 0.066 0.891 0.250
Ni 0.434 0.391 0.250
Ni 0.934 0.109 0.750
Ni 0.566 0.609 0.750

| no. | calculated formation energy (eV/atom) |
| --- | --- |
| 1 | -0.28 |
| 2 | -0.15 |